This record from Materials Project describes Zn4As2O9 after structural relaxation. The functional is PBE.

Cell lengths 8.360, 9.931, 10.599 Å; angles 59.08, 90.00, 90.00 degrees
Fractional coordinates of all 60 atoms:
O1 0.483 0.045 0.693
O2 0.072 0.693 0.716
O3 0.999 0.524 0.363
Zn1 0.818 0.847 0.977
Zn2 0.256 0.794 0.544
O4 0.327 0.005 0.009
Zn3 0.480 0.101 0.846
O5 0.829 0.606 0.094
O6 0.827 0.995 0.491
O7 0.179 0.223 0.653
As1 0.516 0.500 0.714
O8 0.158 0.556 0.113
O9 0.835 0.242 0.614
O10 0.501 0.524 0.863
Zn4 0.182 0.153 0.023
Zn5 0.693 0.516 0.994
O11 0.171 0.394 0.906
Zn6 0.682 0.847 0.477
As2 0.494 0.841 0.767
O12 0.321 0.223 0.153
As3 0.016 0.500 0.786
As4 0.506 0.159 0.233
O13 0.342 0.556 0.613
O14 0.665 0.242 0.114
O15 0.976 0.175 0.887
O16 0.673 0.995 0.991
Zn7 0.020 0.101 0.346
O17 0.658 0.444 0.387
As5 0.994 0.159 0.733
O18 0.476 0.825 0.613
As6 0.984 0.500 0.214
O19 0.428 0.693 0.216
O20 0.572 0.307 0.784
O21 0.524 0.175 0.387
O22 0.001 0.476 0.637
O23 0.173 0.005 0.509
Zn8 0.520 0.899 0.154
Zn9 0.318 0.153 0.523
Zn10 0.980 0.899 0.654
Zn11 0.756 0.206 0.956
Zn12 0.244 0.794 0.044
O24 0.842 0.444 0.887
O25 0.165 0.758 0.386
O26 0.983 0.955 0.807
Zn13 0.193 0.484 0.506
O27 0.335 0.758 0.886
Zn14 0.744 0.206 0.456
O28 0.329 0.394 0.406
As7 0.484 0.500 0.286
O29 0.671 0.606 0.594
O30 0.517 0.955 0.307
Zn15 0.307 0.484 0.006
As8 0.006 0.841 0.267
O31 0.499 0.476 0.137
O32 0.024 0.825 0.113
Zn16 0.807 0.516 0.494
O33 0.821 0.777 0.347
O34 0.679 0.777 0.847
O35 0.928 0.307 0.284
O36 0.017 0.045 0.193

Computed properties:
The value obtained for the total energy is -5.28 eV per atom. The value obtained for the formation energy from the elements is -1768 meV per atom.